Entry from the Materials Project: a geometry-optimized Rb2AgMoF6 structure (PBE with a Hubbard U).

Unit cell a=6.3896 b=6.3896 c=6.3896 alpha=60.00 beta=60.00 gamma=60.00
Positions (direct):
Rb: 0.2500 0.2500 0.2500
Rb: 0.7500 0.7500 0.7500
Ag: 0.0000 0.0000 0.0000
Mo: 0.5000 0.5000 0.5000
F: 0.2699 0.2699 0.7301
F: 0.2699 0.7301 0.2699
F: 0.2699 0.7301 0.7301
F: 0.7301 0.2699 0.2699
F: 0.7301 0.2699 0.7301
F: 0.7301 0.7301 0.2699

Summary:
crystal system = cubic
energy = -47.1 eV for the cell shown


Entry from the Materials Project: a geometry-optimized Ca4Mn2Al2O11 structure (PBE with a Hubbard U).

Unit cell a=5.2842 b=5.2842 c=7.6814 alpha=90.00 beta=90.00 gamma=90.00
Positions (direct):
Ca: 0.0000 0.5000 0.0000
Ca: 0.0000 0.5000 0.5000
Ca: 0.5000 0.0000 0.0000
Ca: 0.5000 0.0000 0.5000
Mn: 0.0000 0.0000 0.2409
Mn: 0.0000 0.0000 0.7591
Al: 0.5000 0.5000 0.2728
Al: 0.5000 0.5000 0.7272
O: 0.0000 0.0000 0.0000
O: 0.0000 0.0000 0.5000
O: 0.2572 0.2572 0.2301
O: 0.2572 0.2572 0.7699
O: 0.2572 0.7428 0.2301
O: 0.2572 0.7428 0.7699
O: 0.5000 0.5000 0.5000
O: 0.7428 0.2572 0.2301
O: 0.7428 0.2572 0.7699
O: 0.7428 0.7428 0.2301
O: 0.7428 0.7428 0.7699

Summary:
crystal system = tetragonal
energy = -131.3 eV for the cell shown
magnetization = 0.326 μB per atom


Entry from the Materials Project: a geometry-optimized Li2NbFe3O8 structure (PBE with a Hubbard U).

Unit cell a=6.0411 b=6.0284 c=10.6278 alpha=73.49 beta=89.95 gamma=119.90
Positions (direct):
O: 0.5948 0.7357 0.1236
O: 0.9053 0.2644 0.3764
O: 0.4052 0.2644 0.8764
O: 0.1352 0.2677 0.5993
O: 0.3589 0.7184 0.3759
O: 0.6352 0.2677 0.0993
O: 0.3591 0.2644 0.3758
O: 0.8648 0.7323 0.4007
O: 0.0948 0.7356 0.6235
O: 0.1410 0.7356 0.1241
O: 0.3648 0.7323 0.9007
O: 0.8591 0.2643 0.8759
O: 0.6409 0.7356 0.6241
O: 0.8588 0.7183 0.8758
O: 0.1410 0.2816 0.1241
O: 0.6411 0.2817 0.6241
Fe: 0.5000 0.5001 0.5000
Fe: 0.0000 0.5000 0.5000
Fe: 0.4999 0.0000 0.0000
Fe: 0.9999 0.0000 0.5000
Fe: 0.0000 0.5000 0.0001
Fe: 0.5000 0.5001 0.0000
Li: 0.9346 0.8698 0.1950
Li: 0.4346 0.8698 0.6950
Li: 0.5654 0.1302 0.3049
Li: 0.0654 0.1302 0.8049
Nb: 0.7501 0.4999 0.7500
Nb: 0.2501 0.4999 0.2501

Summary:
energy = -193.8 eV for the cell shown
magnetization = 0.000 μB per atom


Entry from the Materials Project: a geometry-optimized Li9Mn7V12O48 structure (PBE with a Hubbard U).

Unit cell a=5.0240 b=10.2529 c=17.0807 alpha=90.21 beta=90.58 gamma=90.24
Positions (direct):
Li: 0.0000 0.0000 0.0000
Li: 0.9997 0.3244 0.6695
Li: 0.0061 0.4849 0.5068
Li: 0.1463 0.4877 0.9503
Li: 0.3424 0.9922 0.4518
Li: 0.4910 0.9910 0.8982
Li: 0.4930 0.4837 0.4035
Li: 0.4929 0.8249 0.7340
Li: 0.9904 0.1614 0.1667
Mn: 0.0112 0.6766 0.6772
Mn: 0.4769 0.1766 0.7249
Mn: 0.4894 0.6654 0.2294
Mn: 0.5021 0.3063 0.2273
Mn: 0.6464 0.4880 0.9470
Mn: 0.8417 0.9928 0.4544
Mn: 0.9846 0.8100 0.1753
V: 0.0156 0.9943 0.6457
V: 0.0258 0.2692 0.3567
V: 0.0369 0.7155 0.3590
V: 0.4439 0.7678 0.0426
V: 0.4716 0.2147 0.0432
V: 0.4734 0.4941 0.7558
V: 0.5293 0.9911 0.2587
V: 0.5299 0.2662 0.5434
V: 0.5358 0.7168 0.5477
V: 0.9528 0.2157 0.8530
V: 0.9541 0.4835 0.1438
V: 0.9657 0.7651 0.8612
O: 0.0685 0.1172 0.4049
O: 0.0725 0.9949 0.5433
O: 0.0776 0.8652 0.4067
O: 0.1353 0.1169 0.9071
O: 0.1473 0.6326 0.1672
O: 0.1543 0.8517 0.0820
O: 0.1636 0.7300 0.7746
O: 0.1692 0.2509 0.7725
O: 0.1687 0.8547 0.9215
O: 0.1809 0.3657 0.1676
O: 0.1844 0.5082 0.6953
O: 0.1930 0.1347 0.0702
O: 0.3035 0.0080 0.7067
O: 0.3036 0.8582 0.2374
O: 0.3195 0.7489 0.6284
O: 0.3231 0.3498 0.3221
O: 0.3260 0.2290 0.6280
O: 0.3266 0.6293 0.3256
O: 0.3321 0.3587 0.4863
O: 0.3472 0.1313 0.2363
O: 0.3574 0.6208 0.4886
O: 0.4119 0.3646 0.9913
O: 0.4170 0.6154 0.9977
O: 0.4176 0.4953 0.8581
O: 0.6088 0.1169 0.4921
O: 0.6114 0.8631 0.4970
O: 0.6136 0.9857 0.3560
O: 0.6437 0.3497 0.7344
O: 0.6545 0.8622 0.9977
O: 0.6582 0.7288 0.1323
O: 0.6591 0.1310 0.8207
O: 0.6615 0.1156 0.9897
O: 0.6643 0.2590 0.1310
O: 0.6726 0.4788 0.2097
O: 0.6936 0.6166 0.7330
O: 0.6971 0.8522 0.8339
O: 0.7953 0.1159 0.6687
O: 0.8000 0.3526 0.5715
O: 0.8082 0.9753 0.1960
O: 0.8143 0.2355 0.2740
O: 0.8240 0.7465 0.2725
O: 0.8273 0.6319 0.5799
O: 0.8445 0.3700 0.4090
O: 0.8465 0.8495 0.6679
O: 0.8483 0.6191 0.4109
O: 0.8755 0.4876 0.0466
O: 0.8793 0.3627 0.9049
O: 0.8818 0.6167 0.9101

Summary:
crystal system = triclinic
energy = -530.5 eV for the cell shown
magnetization = 0.289 μB per atom


Entry from the Materials Project: a geometry-optimized Sr2YAlFe2O7 structure (PBE with a Hubbard U).

Unit cell a=11.7739 b=11.7739 c=11.7739 alpha=40.27 beta=151.18 gamma=152.49
Positions (direct):
Sr: 0.0293 0.1557 0.1849
Sr: 0.0293 0.3443 0.3736
Sr: 0.9707 0.6557 0.6264
Sr: 0.9707 0.8443 0.8151
Y: 0.9931 0.4931 0.5000
Y: 0.9931 0.9931 0.0000
Al: 0.4081 0.7369 0.1712
Al: 0.5658 0.2369 0.8288
Fe: 0.4955 0.5844 0.0755
Fe: 0.4955 0.9200 0.4111
Fe: 0.5090 0.0844 0.5889
Fe: 0.5090 0.4200 0.9245
O: 0.0068 0.4275 0.0794
O: 0.0284 0.1626 0.7368
O: 0.0284 0.7916 0.3659
O: 0.3481 0.9275 0.9206
O: 0.4258 0.2916 0.2632
O: 0.4258 0.6626 0.6341
O: 0.4778 0.2219 0.6178
O: 0.4778 0.3600 0.7559
O: 0.5981 0.2245 0.2309
O: 0.5981 0.8672 0.8737
O: 0.6041 0.7219 0.2441
O: 0.6041 0.8600 0.3822
O: 0.9936 0.3672 0.7691
O: 0.9936 0.7245 0.1263

Summary:
crystal system = orthorhombic
energy = -185.3 eV for the cell shown
magnetization = 0.615 μB per atom


Entry from the Materials Project: a geometry-optimized K3Mo4O16F structure (PBE with a Hubbard U).

Unit cell a=7.9969 b=10.5546 c=10.8712 alpha=104.54 beta=98.94 gamma=104.76
Positions (direct):
K: 0.1205 0.4980 0.3330
K: 0.1519 0.8526 0.0320
K: 0.3160 0.8860 0.6441
K: 0.6840 0.1140 0.3559
K: 0.8481 0.1474 0.9680
K: 0.8795 0.5020 0.6670
Mo: 0.1435 0.2440 0.6760
Mo: 0.2708 0.4791 0.9866
Mo: 0.4006 0.5643 0.7138
Mo: 0.4041 0.2072 0.9951
Mo: 0.5959 0.7928 0.0049
Mo: 0.5994 0.4357 0.2862
Mo: 0.7292 0.5209 0.0134
Mo: 0.8565 0.7560 0.3240
O: 0.0053 0.7335 0.4476
O: 0.0662 0.1672 0.2924
O: 0.0948 0.4109 0.0512
O: 0.1758 0.4656 0.8110
O: 0.1788 0.0882 0.6103
O: 0.1905 0.1293 0.3347
O: 0.2157 0.1301 0.0454
O: 0.2336 0.5823 0.5992
O: 0.2875 0.2815 0.8734
O: 0.3376 0.6611 0.0640
O: 0.3614 0.3652 0.6569
O: 0.3998 0.7289 0.3233
O: 0.4057 0.3909 0.3398
O: 0.4176 0.7422 0.8423
O: 0.4481 0.0682 0.8930
O: 0.4635 0.4363 0.0926
O: 0.5365 0.5637 0.9074
O: 0.5519 0.9318 0.1070
O: 0.5824 0.2578 0.1577
O: 0.5943 0.6091 0.6602
O: 0.6002 0.2711 0.6767
O: 0.6386 0.6348 0.3431
O: 0.6624 0.3389 0.9360
O: 0.7125 0.7185 0.1266
O: 0.7664 0.4177 0.4008
O: 0.7843 0.8699 0.9546
O: 0.8095 0.8707 0.6653
O: 0.8212 0.9118 0.3897
O: 0.8242 0.5344 0.1890
O: 0.9052 0.5891 0.9488
O: 0.9338 0.8328 0.7076
O: 0.9947 0.2665 0.5524
F: 0.0535 0.8195 0.2422
F: 0.9465 0.1805 0.7578

Summary:
crystal system = triclinic
energy = -295.9 eV for the cell shown
magnetization = 0.167 μB per atom


Entry from the Materials Project: a geometry-optimized FeH12PtCl6O6 structure (PBE with a Hubbard U).

Unit cell a=7.1985 b=9.5437 c=10.7886 alpha=90.04 beta=90.07 gamma=100.16
Positions (direct):
Fe: 0.0000 0.0000 0.0000
Fe: 0.9997 0.5004 0.5005
H: 0.0515 0.2720 0.0995
H: 0.0530 0.7708 0.5992
H: 0.1540 0.2597 0.4579
H: 0.1564 0.7599 0.9559
H: 0.1709 0.2102 0.8418
H: 0.1734 0.7132 0.3379
H: 0.1977 0.0629 0.7811
H: 0.1994 0.5662 0.2784
H: 0.2828 0.5210 0.6774
H: 0.2881 0.0200 0.1768
H: 0.3720 0.6114 0.5612
H: 0.3731 0.1127 0.0617
H: 0.6265 0.8875 0.9388
H: 0.6275 0.3889 0.4393
H: 0.7113 0.9801 0.8236
H: 0.7167 0.4792 0.3231
H: 0.7998 0.4338 0.7222
H: 0.8018 0.9374 0.2192
H: 0.8261 0.2870 0.6624
H: 0.8286 0.7901 0.1585
H: 0.8431 0.2401 0.0445
H: 0.8451 0.7407 0.5427
H: 0.9461 0.2297 0.4014
H: 0.9480 0.7281 0.9009
Pt: 0.4997 0.0000 0.5002
Pt: 0.4997 0.5000 0.0002
Cl: 0.2259 0.4492 0.8773
Cl: 0.2260 0.9524 0.3773
Cl: 0.3267 0.9004 0.6732
Cl: 0.3290 0.3992 0.1736
Cl: 0.4239 0.7228 0.0511
Cl: 0.4259 0.2237 0.5506
Cl: 0.5735 0.7765 0.4498
Cl: 0.5754 0.2773 0.9494
Cl: 0.6703 0.6009 0.8269
Cl: 0.6727 0.0997 0.3272
Cl: 0.7734 0.0478 0.6231
Cl: 0.7734 0.5509 0.1232
O: 0.0528 0.3053 0.4235
O: 0.0540 0.8046 0.9218
O: 0.1173 0.1080 0.8368
O: 0.1168 0.6118 0.3319
O: 0.2721 0.5328 0.5872
O: 0.2783 0.0302 0.0864
O: 0.7212 0.9699 0.9140
O: 0.7274 0.4675 0.4134
O: 0.8823 0.8923 0.1635
O: 0.8826 0.3884 0.6686
O: 0.9457 0.1956 0.0783
O: 0.9462 0.6952 0.5776

Summary:
crystal system = triclinic
energy = -236.0 eV for the cell shown
magnetization = 0.000 μB per atom


Entry from the Materials Project: a geometry-optimized Li4Ni3Sn2O10 structure (PBE with a Hubbard U).

Unit cell a=6.6524 b=8.0024 c=8.0608 alpha=94.95 beta=113.83 gamma=90.72
Positions (direct):
Li: 0.1208 0.1929 0.3128
Li: 0.1886 0.8953 0.1044
Li: 0.2500 0.2582 0.9786
Li: 0.3305 0.5961 0.9117
Li: 0.6695 0.4039 0.0883
Li: 0.7500 0.7418 0.0214
Li: 0.8114 0.1047 0.8956
Li: 0.8792 0.8071 0.6872
Ni: 0.0000 0.5000 0.5000
Ni: 0.0534 0.8421 0.4020
Ni: 0.4539 0.6523 0.5981
Ni: 0.5000 0.0000 0.5000
Ni: 0.5461 0.3477 0.4019
Ni: 0.9466 0.1579 0.5980
Sn: 0.1706 0.5505 0.1983
Sn: 0.3460 0.9579 0.7971
Sn: 0.6540 0.0421 0.2029
Sn: 0.8294 0.4495 0.8017
O: 0.0393 0.6620 0.9555
O: 0.0674 0.0450 0.8206
O: 0.0863 0.3686 0.7225
O: 0.1706 0.7358 0.6294
O: 0.2155 0.0458 0.5343
O: 0.2680 0.4351 0.4405
O: 0.3255 0.7732 0.3623
O: 0.3959 0.1102 0.2776
O: 0.4244 0.4460 0.1572
O: 0.4586 0.8382 0.0321
O: 0.5414 0.1618 0.9679
O: 0.5756 0.5540 0.8428
O: 0.6041 0.8898 0.7224
O: 0.6745 0.2268 0.6377
O: 0.7320 0.5649 0.5595
O: 0.7845 0.9542 0.4657
O: 0.8294 0.2642 0.3706
O: 0.9137 0.6314 0.2775
O: 0.9326 0.9550 0.1794
O: 0.9607 0.3380 0.0445

Summary:
crystal system = triclinic
energy = -202.4 eV for the cell shown
magnetization = 0.211 μB per atom


Entry from the Materials Project: a geometry-optimized LiVSiO4 structure (PBE with a Hubbard U).

Unit cell a=8.6824 b=8.6824 c=8.6824 alpha=107.69 beta=107.69 gamma=107.69
Positions (direct):
Li: 0.0155 0.7950 0.1895
Li: 0.1895 0.0155 0.7950
Li: 0.3079 0.4744 0.7091
Li: 0.4744 0.7091 0.3079
Li: 0.7091 0.3079 0.4744
Li: 0.7950 0.1895 0.0155
V: 0.0440 0.6377 0.8173
V: 0.1151 0.5303 0.3532
V: 0.3532 0.1151 0.5303
V: 0.5303 0.3532 0.1151
V: 0.6377 0.8173 0.0440
V: 0.8173 0.0440 0.6377
Si: 0.1516 0.3786 0.9723
Si: 0.3786 0.9723 0.1516
Si: 0.4567 0.8631 0.6818
Si: 0.6818 0.4567 0.8631
Si: 0.8631 0.6818 0.4567
Si: 0.9723 0.1516 0.3786
O: 0.1649 0.4911 0.8500
O: 0.1832 0.2197 0.5182
O: 0.2197 0.5182 0.1832
O: 0.2217 0.8864 0.9446
O: 0.2769 0.9600 0.2829
O: 0.2829 0.2769 0.9600
O: 0.3145 0.6490 0.5951
O: 0.3431 0.9850 0.6737
O: 0.4911 0.8500 0.1649
O: 0.5182 0.1832 0.2197
O: 0.5583 0.5650 0.8926
O: 0.5650 0.8926 0.5583
O: 0.5951 0.3145 0.6490
O: 0.6056 0.9350 0.8882
O: 0.6490 0.5951 0.3145
O: 0.6737 0.3431 0.9850
O: 0.8500 0.1649 0.4911
O: 0.8864 0.9446 0.2217
O: 0.8882 0.6056 0.9350
O: 0.8926 0.5583 0.5650
O: 0.9350 0.8882 0.6056
O: 0.9446 0.2217 0.8864
O: 0.9600 0.2829 0.2769
O: 0.9850 0.6737 0.3431

Summary:
crystal system = trigonal
energy = -307.7 eV for the cell shown
magnetization = 0.286 μB per atom


Entry from the Materials Project: a geometry-optimized FeSi2O6 structure (PBE with a Hubbard U).

Unit cell a=5.3277 b=5.3277 c=19.4303 alpha=92.80 beta=92.80 gamma=120.86
Positions (direct):
Fe: 0.1632 0.3297 0.0001
Fe: 0.3297 0.1632 0.5001
Fe: 0.6703 0.8368 0.4999
Fe: 0.8368 0.6703 0.9999
Si: 0.1070 0.5999 0.8553
Si: 0.2886 0.4472 0.3552
Si: 0.4001 0.8930 0.6447
Si: 0.4472 0.2886 0.8552
Si: 0.5528 0.7114 0.1448
Si: 0.5999 0.1070 0.3553
Si: 0.7114 0.5528 0.6448
Si: 0.8930 0.4001 0.1447
O: 0.0213 0.1239 0.5508
O: 0.0641 0.7276 0.6653
O: 0.1087 0.5880 0.9404
O: 0.1238 0.0213 0.0508
O: 0.2351 0.5642 0.1762
O: 0.2595 0.4271 0.8233
O: 0.2724 0.9359 0.8347
O: 0.3654 0.4932 0.4403
O: 0.4120 0.8913 0.5596
O: 0.4271 0.2595 0.3233
O: 0.4358 0.7649 0.3238
O: 0.4932 0.3654 0.9403
O: 0.5068 0.6346 0.0597
O: 0.5642 0.2351 0.6762
O: 0.5729 0.7405 0.6767
O: 0.5880 0.1087 0.4404
O: 0.6346 0.5068 0.5597
O: 0.7276 0.0641 0.1653
O: 0.7405 0.5729 0.1767
O: 0.7649 0.4358 0.8238
O: 0.8762 0.9787 0.9492
O: 0.8913 0.4120 0.0596
O: 0.9359 0.2724 0.3347
O: 0.9787 0.8762 0.4492

Summary:
crystal system = monoclinic
energy = -263.0 eV for the cell shown
magnetization = 0.444 μB per atom


In Å³ per atom, the volume values for the records above are, in order, 18.446; 11.289; 11.319; 11.576; 13.951; 17.395; 14.030; 10.277; 12.728; 13.085.
In kcal/mol of atoms, the formation energy values for the records above are, in order, -59.75; -65.45; -49.84; -50.89; -65.29; -34.61; -25.14; -40.33; -64.30; -59.22.